Record 1
H3AuC2NCl: relaxed, GGA-PBE.

extended XYZ file:
```
16
Lattice="-3.664 -0.631 5.481 1.680 -4.050 0.657 6.942 3.487 5.042" Properties=species:S:1:pos:R:3 pbc="T T T"
C 0.652 -1.471 2.702
C 1.881 0.311 7.483
C 2.906 -1.534 3.954
C 3.908 0.209 9.074
Au 0.279 0.375 6.410
Au 4.517 -1.597 5.014
Cl 4.709 2.414 5.669
Cl 0.028 -3.646 5.844
N 2.820 0.262 8.175
N 1.903 -1.497 3.358
H 3.837 1.056 9.768
H 0.049 -0.646 3.107
H 0.134 -2.420 2.890
H 3.859 -0.729 9.646
H 0.802 -1.336 1.624
H 4.851 0.261 8.517
```

- crystal system = monoclinic
- largest piezoelectric modulus (C/m2) = 0.11
- SG = No. 4

=====

Record 2
TiCr: relaxed, GGA-PBE.

extended XYZ file:
```
2
Lattice="0.884 2.366 -1.015 0.613 -2.077 -1.649 -3.517 0.489 -1.923" Properties=species:S:1:pos:R:3 pbc="T T T"
Cr 0.000 0.000 0.000
Ti -1.010 0.389 -2.293
```

- crystal system = orthorhombic
- SG = No. 65

=====

no.,magnetic moment (μB/atom),DFT total energy (eV per atom)
1,0.000,-5.32
2,0.001,-8.63